Entry 1:
Computed, not measured: a relaxed structure of Na6Nb3GaSi6O24 at the GGA-PBE level of DFT.

Lattice parameters (Å, degrees): 9.0407 9.0422 22.4838 90.04 90.02 119.97
Fractional coordinates of all 120 atoms:
Na  0.0000  0.0000  0.0000
Na  0.0001  0.0002  0.4940
Na  0.0442  0.3450  0.5800
Na  0.2988  0.9561  0.5796
Na  0.3208  0.2915  0.4130
Na  0.3219  0.0322  0.9137
Na  0.3252  0.6599  0.1641
Na  0.3401  0.6679  0.6655
Na  0.3637  0.0038  0.2509
Na  0.6377  0.6393  0.2509
Na  0.6569  0.7009  0.5798
Na  0.6585  0.3262  0.8325
Na  0.6755  0.3347  0.3306
Na  0.7087  0.0297  0.4125
Na  0.7104  0.6781  0.9142
Na  0.9678  0.2915  0.9134
Na  0.9704  0.6807  0.4132
Na  0.9995  0.6358  0.7530
Nb  0.9996  0.0015  0.6489
Nb  0.0007  0.0017  0.1448
Nb  0.3290  0.6634  0.3128
Nb  0.3341  0.6683  0.0225
Nb  0.3379  0.6675  0.8113
Nb  0.6625  0.3298  0.6894
Nb  0.6662  0.3342  0.4791
Nb  0.6671  0.3346  0.9815
Nb  0.6712  0.3343  0.1872
Ga  0.9996  0.0012  0.3511
Ga  0.0004  0.0017  0.8522
Ga  0.3330  0.6675  0.5173
Si  0.9997  0.2874  0.7539
Si  0.0443  0.6704  0.9160
Si  0.0469  0.3756  0.4199
Si  0.2840  0.2861  0.2526
Si  0.2887  0.0031  0.7540
Si  0.3283  0.9532  0.4189
Si  0.3299  0.3745  0.9169
Si  0.3749  0.0426  0.0841
Si  0.3759  0.3376  0.5835
Si  0.6246  0.6728  0.4192
Si  0.6257  0.9568  0.9166
Si  0.6636  0.0398  0.5830
Si  0.6665  0.6256  0.0846
Si  0.7117  0.7140  0.7530
Si  0.7175  0.0046  0.2534
Si  0.9596  0.3343  0.0833
Si  0.9609  0.6249  0.5841
Si  0.9987  0.7144  0.2527
O  0.0221  0.1864  0.4121
O  0.0237  0.8386  0.9127
O  0.0257  0.1965  0.6930
O  0.0337  0.8388  0.1950
O  0.1299  0.6318  0.8575
O  0.1391  0.5066  0.3624
O  0.1445  0.5053  0.0773
O  0.1475  0.6433  0.5790
O  0.1617  0.1869  0.9127
O  0.1622  0.4593  0.4787
O  0.1642  0.9794  0.4120
O  0.1647  0.1936  0.1943
O  0.1664  0.4818  0.7558
O  0.1675  0.9718  0.6936
O  0.1706  0.6976  0.9724
O  0.1742  0.7003  0.2571
O  0.1881  0.0268  0.0897
O  0.1891  0.1615  0.5896
O  0.2058  0.0324  0.8128
O  0.2100  0.1698  0.3117
O  0.2970  0.8377  0.4777
O  0.2988  0.8264  0.7558
O  0.3028  0.4728  0.9734
O  0.3149  0.4827  0.2567
O  0.3586  0.5061  0.5792
O  0.3600  0.8568  0.0771
O  0.3674  0.5050  0.8602
O  0.3680  0.8675  0.3598
O  0.4658  0.3000  0.5251
O  0.4707  0.1633  0.0253
O  0.4789  0.1694  0.7433
O  0.4785  0.3121  0.2442
O  0.4942  0.1371  0.1427
O  0.4951  0.8540  0.5791
O  0.4947  0.8644  0.8600
O  0.4959  0.6409  0.0772
O  0.4993  0.6337  0.3601
O  0.5040  0.3639  0.6392
O  0.5063  0.1445  0.4232
O  0.5059  0.3618  0.9222
O  0.5221  0.6939  0.7558
O  0.5226  0.8311  0.2570
O  0.5285  0.8314  0.9732
O  0.5396  0.7034  0.4780
O  0.6384  0.1418  0.6390
O  0.6376  0.4945  0.4232
O  0.6387  0.1454  0.9223
O  0.6409  0.5057  0.1429
O  0.6811  0.1653  0.2447
O  0.6920  0.5302  0.0255
O  0.6972  0.5265  0.7425
O  0.7006  0.1673  0.5249
O  0.8036  0.8307  0.6924
O  0.8057  0.9673  0.1957
O  0.8130  0.9750  0.9120
O  0.8152  0.8361  0.4127
O  0.8236  0.0325  0.3137
O  0.8280  0.5245  0.2439
O  0.8323  0.5329  0.5260
O  0.8334  0.7926  0.8107
O  0.8353  0.3175  0.7434
O  0.8381  0.8117  0.0904
O  0.8392  0.3083  0.0243
O  0.8396  0.0288  0.5890
O  0.8548  0.4951  0.9225
O  0.8565  0.3636  0.4229
O  0.8587  0.3589  0.1400
O  0.8655  0.5032  0.6416
O  0.9597  0.7900  0.3122
O  0.9671  0.1738  0.8124
O  0.9727  0.1624  0.0901
O  0.9727  0.8129  0.5890

Properties
The total energy is -7.290 eV/atom. Its energy of formation from the pure elements is -2888.4 meV per atom. The value obtained for the energy above the lowest structure with this stoichiometry is 0.00 kcal/mol of atoms. Its space group is P1 (1).



Entry 2:
Computed, not measured: a relaxed structure of Na6Nb3GaSi6O24 at the GGA-PBE level of DFT.

Lattice parameters (Å, degrees): 15.7097 9.0530 9.0199 90.67 124.92 89.74
Fractional coordinates of all 80 atoms:
Na  0.2497  0.7503  0.9983
Na  0.7435  0.7485  0.4806
Na  0.7497  0.2503  0.9983
Na  0.2435  0.2485  0.4806
Na  0.5034  0.0893  0.7624
Na  0.5010  0.8893  0.2357
Na  0.0034  0.5893  0.7624
Na  0.0010  0.3893  0.2357
Na  0.8048  0.9281  0.2057
Na  0.1852  0.0758  0.8061
Na  0.3048  0.4281  0.2057
Na  0.6852  0.5758  0.8061
Nb  0.1059  0.7524  0.5642
Nb  0.8937  0.7527  0.9266
Nb  0.8927  0.2486  0.4330
Nb  0.6059  0.2524  0.5642
Nb  0.3937  0.2527  0.9266
Nb  0.3927  0.7486  0.4330
Ga  0.1048  0.2477  0.0681
Ga  0.6048  0.7477  0.0681
Si  0.9999  0.9656  0.7555
Si  0.0050  0.0447  0.2508
Si  0.4999  0.4656  0.7555
Si  0.5050  0.5447  0.2508
Si  0.3580  0.8877  0.7640
Si  0.6459  0.8953  0.7527
Si  0.6455  0.1044  0.2422
Si  0.3517  0.1048  0.2500
Si  0.8580  0.3877  0.7640
Si  0.1459  0.3953  0.7527
Si  0.1455  0.6044  0.2422
Si  0.8517  0.6048  0.2500
O  0.1489  0.5754  0.7357
O  0.8488  0.5713  0.7581
O  0.8527  0.4236  0.2572
O  0.1542  0.4269  0.2456
O  0.6489  0.0754  0.7357
O  0.3488  0.0713  0.7581
O  0.3527  0.9236  0.2572
O  0.6542  0.9269  0.2456
O  0.4294  0.5650  0.5686
O  0.5767  0.5711  0.9258
O  0.5676  0.4374  0.4304
O  0.4341  0.4273  0.0786
O  0.9294  0.0650  0.5686
O  0.0767  0.0711  0.9258
O  0.0676  0.9374  0.4304
O  0.9341  0.9273  0.0786
O  0.2539  0.8270  0.7443
O  0.7406  0.8114  0.7578
O  0.7439  0.1780  0.2522
O  0.2600  0.1903  0.2438
O  0.7539  0.3270  0.7443
O  0.2406  0.3114  0.7578
O  0.2439  0.6780  0.2522
O  0.7600  0.6903  0.2438
O  0.3609  0.8494  0.5856
O  0.6476  0.8677  0.9312
O  0.6406  0.1532  0.4147
O  0.3535  0.1416  0.0712
O  0.8609  0.3494  0.5856
O  0.1476  0.3677  0.9312
O  0.1406  0.6532  0.4147
O  0.8535  0.6416  0.0712
O  0.4629  0.8322  0.9462
O  0.5377  0.8263  0.5704
O  0.5364  0.1683  0.0606
O  0.4631  0.1688  0.4281
O  0.9629  0.3322  0.9462
O  0.0377  0.3263  0.5704
O  0.0364  0.6683  0.0606
O  0.9631  0.6688  0.4281
O  0.0781  0.8550  0.7373
O  0.9194  0.8524  0.7596
O  0.9160  0.1397  0.2551
O  0.0823  0.1556  0.2458
O  0.5781  0.3550  0.7373
O  0.4194  0.3524  0.7596
O  0.4160  0.6397  0.2551
O  0.5823  0.6556  0.2458

Properties
The total energy is -7.287 eV/atom. Its energy of formation from the pure elements is -2885.2 meV per atom. The value obtained for the energy above the lowest structure with this stoichiometry is 0.07 kcal/mol of atoms.



Entry 3:
Computed, not measured: a relaxed structure of Na4NbGaSi3O12 at the GGA-PBE level of DFT.

Lattice parameters (Å, degrees): 9.0611 9.0611 22.2014 90.00 90.00 120.00
Fractional coordinates of all 126 atoms:
Na  0.6368  0.0100  0.2480
Na  0.3732  0.3632  0.2480
Na  0.9900  0.6268  0.2480
Na  0.6368  0.6268  0.7480
Na  0.9900  0.3632  0.7480
Na  0.3732  0.0100  0.7480
Na  0.3034  0.3434  0.5813
Na  0.0399  0.6966  0.5813
Na  0.6566  0.9601  0.5813
Na  0.3034  0.9601  0.0813
Na  0.6566  0.6966  0.0813
Na  0.0399  0.3434  0.0813
Na  0.9701  0.6767  0.9146
Na  0.7066  0.0299  0.9146
Na  0.3233  0.2934  0.9146
Na  0.9701  0.2934  0.4146
Na  0.3233  0.0299  0.4146
Na  0.7066  0.6767  0.4146
Na  0.0000  0.0000  0.4953
Na  0.0000  0.0000  0.9953
Na  0.6667  0.3333  0.8286
Na  0.6667  0.3333  0.3286
Na  0.3333  0.6667  0.1619
Na  0.3333  0.6667  0.6619
Nb  0.0000  0.0000  0.6467
Nb  0.0000  0.0000  0.1467
Nb  0.6667  0.3333  0.9800
Nb  0.6667  0.3333  0.4800
Nb  0.3333  0.6667  0.3134
Nb  0.3333  0.6667  0.8134
Ga  0.0000  0.0000  0.3510
Ga  0.0000  0.0000  0.8510
Ga  0.6667  0.3333  0.6843
Ga  0.6667  0.3333  0.1843
Ga  0.3333  0.6667  0.0176
Ga  0.3333  0.6667  0.5176
Si  0.2933  0.0045  0.2519
Si  0.7112  0.7067  0.2519
Si  0.9955  0.2888  0.2519
Si  0.2933  0.2888  0.7519
Si  0.9955  0.7067  0.7519
Si  0.7112  0.0045  0.7519
Si  0.9599  0.3378  0.5853
Si  0.3779  0.0401  0.5853
Si  0.6622  0.6221  0.5853
Si  0.9599  0.6221  0.0853
Si  0.6622  0.0401  0.0853
Si  0.3779  0.3378  0.0853
Si  0.6266  0.6712  0.9186
Si  0.0445  0.3734  0.9186
Si  0.3288  0.9555  0.9186
Si  0.6266  0.9555  0.4186
Si  0.3288  0.3734  0.4186
Si  0.0445  0.6712  0.4186
O  0.2062  0.0366  0.3103
O  0.8304  0.7938  0.3103
O  0.9634  0.1696  0.3103
O  0.2062  0.1696  0.8103
O  0.9634  0.7938  0.8103
O  0.8304  0.0366  0.8103
O  0.7998  0.9656  0.6922
O  0.1658  0.2002  0.6922
O  0.0344  0.8342  0.6922
O  0.7998  0.8342  0.1922
O  0.0344  0.2002  0.1922
O  0.1658  0.9656  0.1922
O  0.8728  0.3700  0.6436
O  0.4971  0.1272  0.6436
O  0.6300  0.5029  0.6436
O  0.8728  0.5029  0.1436
O  0.6300  0.1272  0.1436
O  0.4971  0.3700  0.1436
O  0.4665  0.2989  0.0255
O  0.8325  0.5335  0.0255
O  0.7011  0.1675  0.0255
O  0.4665  0.1675  0.5255
O  0.7011  0.5335  0.5255
O  0.8325  0.2989  0.5255
O  0.5395  0.7033  0.9769
O  0.1638  0.4605  0.9769
O  0.2967  0.8362  0.9769
O  0.5395  0.8362  0.4769
O  0.2967  0.4605  0.4769
O  0.1638  0.7033  0.4769
O  0.1331  0.6323  0.3589
O  0.4991  0.8669  0.3589
O  0.3677  0.5009  0.3589
O  0.1331  0.5009  0.8589
O  0.3677  0.8669  0.8589
O  0.4991  0.6323  0.8589
O  0.0211  0.8366  0.4113
O  0.8155  0.9789  0.4113
O  0.1634  0.1845  0.4113
O  0.0211  0.1845  0.9113
O  0.1634  0.9789  0.9113
O  0.8155  0.8366  0.9113
O  0.9726  0.1611  0.5886
O  0.1885  0.0274  0.5886
O  0.8389  0.8115  0.5886
O  0.9726  0.8115  0.0887
O  0.8389  0.0274  0.0887
O  0.1885  0.1611  0.0887
O  0.6878  0.1700  0.7447
O  0.4822  0.3122  0.7447
O  0.8300  0.5178  0.7447
O  0.6878  0.5178  0.2447
O  0.8300  0.3122  0.2447
O  0.4822  0.1700  0.2447
O  0.6392  0.4944  0.9220
O  0.8552  0.3608  0.9220
O  0.5056  0.1448  0.9220
O  0.6392  0.1448  0.4220
O  0.5056  0.3608  0.4220
O  0.8552  0.4944  0.4220
O  0.3544  0.5033  0.0780
O  0.1488  0.6456  0.0780
O  0.4967  0.8512  0.0780
O  0.3544  0.8512  0.5780
O  0.4967  0.6456  0.5780
O  0.1488  0.5033  0.5780
O  0.3059  0.8278  0.2553
O  0.5219  0.6941  0.2553
O  0.1722  0.4781  0.2553
O  0.3059  0.4781  0.7553
O  0.1722  0.6941  0.7553
O  0.5219  0.8278  0.7553

Properties
The total energy is -6.859 eV/atom. Its energy of formation from the pure elements is -2772.4 meV per atom.